RbLi2CdC2O6F, relaxed, DFT PBE; total moment = 0.0 μB/f.u.
1.0
4.988 0.000 0.000
-2.494 4.320 0.000
0.000 0.000 15.624
Rb Li Cd C O F
2 4 2 4 12 2
Direct
0.000 0.000 0.250 Rb
0.000 0.000 0.750 Rb
0.333 0.667 0.130 Li
0.333 0.667 0.370 Li
0.667 0.333 0.630 Li
0.667 0.333 0.870 Li
0.000 0.000 0.000 Cd
0.000 0.000 0.500 Cd
0.333 0.667 0.590 C
0.333 0.667 0.910 C
0.667 0.333 0.090 C
0.667 0.333 0.410 C
0.072 0.667 0.591 O
0.072 0.667 0.909 O
0.333 0.406 0.591 O
0.333 0.406 0.909 O
0.406 0.072 0.091 O
0.406 0.072 0.409 O
0.594 0.928 0.591 O
0.594 0.928 0.909 O
0.667 0.594 0.091 O
0.667 0.594 0.409 O
0.928 0.333 0.091 O
0.928 0.333 0.409 O
0.333 0.667 0.250 F
0.667 0.333 0.750 F

VASP calculation (PBE) on a relaxed Na2As4O11 crystal.

POSCAR file:
```
Na2As4O11
1.0
4.622 -4.227 0.000
4.622 4.227 0.000
-2.673 0.000 11.469
Na As O
4 8 22
Direct
0.042 0.234 0.466 Na
0.234 0.042 0.966 Na
0.766 0.958 0.034 Na
0.958 0.766 0.534 Na
0.034 0.457 0.166 As
0.417 0.499 0.382 As
0.457 0.034 0.666 As
0.499 0.417 0.882 As
0.501 0.583 0.118 As
0.543 0.966 0.334 As
0.583 0.501 0.618 As
0.966 0.543 0.834 As
0.029 0.193 0.118 O
0.120 0.521 0.318 O
0.193 0.029 0.618 O
0.197 0.594 0.099 O
0.198 0.371 0.856 O
0.315 0.524 0.524 O
0.371 0.198 0.356 O
0.406 0.803 0.401 O
0.457 0.543 0.750 O
0.476 0.685 0.976 O
0.479 0.880 0.182 O
0.521 0.120 0.818 O
0.524 0.315 0.024 O
0.543 0.457 0.250 O
0.594 0.197 0.599 O
0.629 0.802 0.644 O
0.685 0.476 0.476 O
0.802 0.629 0.144 O
0.803 0.406 0.901 O
0.807 0.971 0.382 O
0.880 0.479 0.682 O
0.971 0.807 0.882 O
```

VASP calculation (PBE) on a relaxed Cs2CO3 crystal.

POSCAR file:
```
Cs2CO3
1.0
6.263 0.000 0.000
0.000 10.601 0.000
-0.880 0.000 8.045
Cs C O
8 4 12
Direct
0.242 0.218 0.481 Cs
0.242 0.282 0.981 Cs
0.255 0.584 0.319 Cs
0.255 0.916 0.819 Cs
0.745 0.084 0.181 Cs
0.745 0.416 0.681 Cs
0.758 0.718 0.019 Cs
0.758 0.782 0.519 Cs
0.257 0.581 0.742 C
0.257 0.919 0.242 C
0.743 0.081 0.758 C
0.743 0.419 0.258 C
0.099 0.629 0.814 O
0.099 0.871 0.314 O
0.245 0.036 0.187 O
0.245 0.464 0.687 O
0.427 0.648 0.722 O
0.427 0.852 0.222 O
0.573 0.148 0.778 O
0.573 0.352 0.278 O
0.755 0.536 0.313 O
0.755 0.964 0.813 O
0.901 0.129 0.686 O
0.901 0.371 0.186 O
```

Number 1: energy of formation from the pure elements -2190 meV/atom. Number 2: energy of formation from the pure elements -1772 meV/atom. Number 3: energy of formation from the pure elements -2068 meV/atom.